Below is a relaxed structure of Tb4CeS7, with properties calculated at the PBE-GGA level.

Properties
E_tot = -6.49 eV/atom
Spin magnetization = 1.25 μB/f.u.
Calculated formation energy = -2.331 eV per atom
Space-group type = Cm
Volume = 281 Å³/f.u.

abc: 6.7666 6.7666 11.6908
angles: 75.92 75.92 32.83
Fractional positions:
1 Tb 0.6992 0.6992 0.1863
2 Tb 0.3012 0.3012 0.8127
3 Tb 0.0000 0.0000 0.9984
4 Tb 0.1134 0.1134 0.5813
5 Ce 0.8875 0.8875 0.4204
6 S 0.7382 0.7382 0.6535
7 S 0.2538 0.2538 0.3494
8 S 0.3417 0.3417 0.0504
9 S 0.6594 0.6594 0.9490
10 S 0.0442 0.0442 0.2102
11 S 0.9576 0.9576 0.7853
12 S 0.5038 0.5038 0.5031

---

Below is a relaxed structure of YMg2Sc, with properties calculated at the PBE-GGA level.

Properties
E_tot = -4.07 eV/atom
Calculated formation energy = -0.069 eV per atom
Space-group type = Fm-3m
Volume = 102 Å³/f.u.

abc: 5.2416 5.2416 5.2416
angles: 60.00 60.00 60.00
Fractional positions:
1 Y 0.0000 0.0000 0.0000
2 Mg 0.7500 0.7500 0.7500
3 Mg 0.2500 0.2500 0.2500
4 Sc 0.5000 0.5000 0.5000

---

Below is a relaxed structure of U2InRh2, with properties calculated at the PBE-GGA level.

Properties
E_tot = -8.40 eV/atom
Calculated formation energy = -0.392 eV per atom
Space-group type = P4/mbm
Volume = 104 Å³/f.u.

abc: 7.6396 7.6396 3.5774
angles: 90.00 90.00 90.00
Fractional positions:
1 U 0.1652 0.3348 0.5000
2 U 0.6652 0.1652 0.5000
3 U 0.3348 0.8348 0.5000
4 U 0.8348 0.6652 0.5000
5 In 0.5000 0.5000 0.0000
6 In 0.0000 0.0000 0.0000
7 Rh 0.3619 0.1381 0.0000
8 Rh 0.6381 0.8619 0.0000
9 Rh 0.8619 0.3619 0.0000
10 Rh 0.1381 0.6381 0.0000

---

Below is a relaxed structure of LaEu2NbO6, with properties calculated at the PBE-GGA level.

Properties
E_tot = -9.44 eV/atom
Spin magnetization = 14.00 μB/f.u.
Calculated formation energy = -3.333 eV per atom
Space-group type = Pn-3
Volume = 159 Å³/f.u.

abc: 8.5937 8.5937 8.5937
angles: 90.00 90.00 90.00
Fractional positions:
1 La 0.7500 0.7500 0.7500
2 La 0.7500 0.2500 0.2500
3 La 0.2500 0.7500 0.2500
4 La 0.2500 0.2500 0.7500
5 Eu 0.5000 0.5000 0.5000
6 Eu 0.0000 0.0000 0.0000
7 Eu 0.0000 0.0000 0.5000
8 Eu 0.0000 0.5000 0.0000
9 Eu 0.5000 0.0000 0.0000
10 Eu 0.5000 0.5000 0.0000
11 Eu 0.5000 0.0000 0.5000
12 Eu 0.0000 0.5000 0.5000
13 Nb 0.2500 0.2500 0.2500
14 Nb 0.2500 0.7500 0.7500
15 Nb 0.7500 0.2500 0.7500
16 Nb 0.7500 0.7500 0.2500
17 O 0.2074 0.3023 0.4784
18 O 0.2074 0.6977 0.5216
19 O 0.7926 0.3023 0.5216
20 O 0.7926 0.6977 0.4784
21 O 0.3023 0.4784 0.2074
22 O 0.6977 0.5216 0.2074
23 O 0.3023 0.5216 0.7926
24 O 0.6977 0.4784 0.7926
25 O 0.4784 0.2074 0.3023
26 O 0.5216 0.2074 0.6977
27 O 0.5216 0.7926 0.3023
28 O 0.4784 0.7926 0.6977
29 O 0.2926 0.1977 0.0216
30 O 0.2926 0.8023 0.9784
31 O 0.7074 0.1977 0.9784
32 O 0.7074 0.8023 0.0216
33 O 0.1977 0.0216 0.2926
34 O 0.8023 0.9784 0.2926
35 O 0.1977 0.9784 0.7074
36 O 0.8023 0.0216 0.7074
37 O 0.0216 0.2926 0.1977
38 O 0.9784 0.2926 0.8023
39 O 0.9784 0.7074 0.1977
40 O 0.0216 0.7074 0.8023

---

Below is a relaxed structure of SnTe5Pb4, with properties calculated at the PBE-GGA level.

Properties
E_tot = -3.84 eV/atom
Spin magnetization = 0.00 μB/f.u.
Calculated formation energy = -0.379 eV per atom
Space-group type = R-3m
Volume = 352 Å³/f.u.

abc: 18.9198 18.9198 18.9198
angles: 14.14 14.14 14.14
Fractional positions:
1 Sn 0.0000 0.0000 0.0000
2 Te 0.6992 0.6992 0.6992
3 Te 0.5000 0.5000 0.5000
4 Te 0.0999 0.0999 0.0999
5 Te 0.3008 0.3008 0.3008
6 Te 0.9001 0.9001 0.9001
7 Pb 0.6000 0.6000 0.6000
8 Pb 0.2000 0.2000 0.2000
9 Pb 0.8000 0.8000 0.8000
10 Pb 0.4000 0.4000 0.4000

---

Below is a relaxed structure of Cs5K3Pb18, with properties calculated at the PBE-GGA level.

Properties
E_tot = -3.04 eV/atom
Spin magnetization = 0.16 μB/f.u.
Calculated formation energy = -0.174 eV per atom
Space-group type = P1
Volume = 1173 Å³/f.u.

abc: 10.1279 15.6565 15.7967
angles: 104.77 97.28 100.03
Fractional positions:
1 Cs 0.7466 0.6516 0.8289
2 Cs 0.4008 0.3358 0.4691
3 Cs 0.0639 0.3365 0.2665
4 Cs 0.6679 0.0632 0.8177
5 Cs 0.2047 0.1218 0.8343
6 Cs 0.8109 0.8471 0.3836
7 Cs 0.2823 0.0288 0.4728
8 Cs 0.5947 0.1560 0.1776
9 Cs 0.4740 0.8465 0.1799
10 Cs 0.1296 0.5334 0.8202
11 K 0.0338 0.6423 0.2062
12 K 0.5053 0.3721 0.7647
13 K 0.9547 0.3368 0.9938
14 K 0.9200 0.8514 0.6564
15 K 0.8335 0.5385 0.4503
16 K 0.3580 0.8154 0.8826
17 Pb 0.0033 0.1795 0.4402
18 Pb 0.7223 0.9309 0.0059
19 Pb 0.1539 0.6826 0.6385
20 Pb 0.4699 0.5972 0.0114
21 Pb 0.7601 0.2903 0.4384
22 Pb 0.8207 0.7886 0.0973
23 Pb 0.4025 0.5867 0.6381
24 Pb 0.3369 0.2960 0.0979
25 Pb 0.5669 0.2945 0.9756
26 Pb 0.6368 0.1957 0.6094
27 Pb 0.0543 0.3937 0.5526
28 Pb 0.1480 0.7745 0.4816
29 Pb 0.7267 0.4106 0.1682
30 Pb 0.6375 0.6069 0.1988
31 Pb 0.5380 0.8882 0.5533
32 Pb 0.1523 0.2507 0.6430
33 Pb 0.0885 0.7823 0.0114
34 Pb 0.3067 0.8904 0.6742
35 Pb 0.5525 0.7942 0.7068
36 Pb 0.7191 0.5021 0.0108
37 Pb 0.2354 0.5777 0.4509
38 Pb 0.2383 0.9884 0.0429
39 Pb 0.9826 0.0952 0.0484
40 Pb 0.4918 0.4515 0.2743
41 Pb 0.6947 0.0834 0.4272
42 Pb 0.8700 0.0029 0.2093
43 Pb 0.3005 0.5114 0.1389
44 Pb 0.9663 0.9056 0.9021
45 Pb 0.8914 0.0879 0.6027
46 Pb 0.7870 0.4009 0.6402
47 Pb 0.1788 0.0994 0.2245
48 Pb 0.9109 0.2779 0.7487
49 Pb 0.3835 0.7330 0.3762
50 Pb 0.5738 0.6737 0.5124
51 Pb 0.1139 0.8921 0.2129
52 Pb 0.3198 0.3897 0.9444

---

Below is a relaxed structure of ZrPb2F8, with properties calculated at the PBE-GGA level.

Properties
E_tot = -5.79 eV/atom
Spin magnetization = 0.00 μB/f.u.
Calculated formation energy = -3.286 eV per atom
Space-group type = Pnma
Volume = 162 Å³/f.u.

abc: 5.5173 9.8991 11.8357
angles: 90.00 90.00 90.00
Fractional positions:
1 Zr 0.7500 0.2518 0.6305
2 Zr 0.2500 0.7482 0.3695
3 Zr 0.7500 0.7518 0.8695
4 Zr 0.2500 0.2482 0.1305
5 Pb 0.7500 0.6398 0.5764
6 Pb 0.2500 0.3602 0.4236
7 Pb 0.7500 0.1398 0.9236
8 Pb 0.2500 0.8602 0.0764
9 Pb 0.7500 0.0349 0.3475
10 Pb 0.2500 0.9651 0.6525
11 Pb 0.7500 0.5349 0.1525
12 Pb 0.2500 0.4651 0.8475
13 F 0.0084 0.4032 0.6256
14 F 0.5084 0.5968 0.3744
15 F 0.4916 0.9032 0.8744
16 F 0.9916 0.0968 0.1256
17 F 0.9916 0.5968 0.3744
18 F 0.4916 0.4032 0.6256
19 F 0.5084 0.0968 0.1256
20 F 0.0084 0.9032 0.8744
21 F 0.4972 0.3689 0.0325
22 F 0.9972 0.6311 0.9675
23 F 0.0028 0.8689 0.4675
24 F 0.5028 0.1311 0.5325
25 F 0.5028 0.6311 0.9675
26 F 0.0028 0.3689 0.0325
27 F 0.9972 0.1311 0.5325
28 F 0.4972 0.8689 0.4675
29 F 0.9870 0.1380 0.7397
30 F 0.4870 0.8620 0.2603
31 F 0.5130 0.6380 0.7603
32 F 0.0130 0.3620 0.2397
33 F 0.0130 0.8620 0.2603
34 F 0.5130 0.1380 0.7397
35 F 0.4870 0.3620 0.2397
36 F 0.9870 0.6380 0.7603
37 F 0.7500 0.3260 0.4582
38 F 0.2500 0.6740 0.5418
39 F 0.7500 0.8260 0.0418
40 F 0.2500 0.1740 0.9582
41 F 0.7500 0.3440 0.8035
42 F 0.2500 0.6560 0.1965
43 F 0.7500 0.8440 0.6965
44 F 0.2500 0.1560 0.3035

---

Below is a relaxed structure of GdB4, with properties calculated at the PBE-GGA level.

Properties
E_tot = -8.76 eV/atom
Calculated formation energy = -0.598 eV per atom
Space-group type = P4/mbm
Volume = 52 Å³/f.u.

abc: 7.1338 7.1338 4.0479
angles: 90.00 90.00 90.00
Fractional positions:
1 Gd 0.8169 0.3169 0.0000
2 Gd 0.1831 0.6831 0.0000
3 Gd 0.3169 0.1831 0.0000
4 Gd 0.6831 0.8169 0.0000
5 B 0.5000 0.5000 0.7967
6 B 0.0000 0.0000 0.7967
7 B 0.5000 0.5000 0.2033
8 B 0.0000 0.0000 0.2033
9 B 0.6758 0.5385 0.5000
10 B 0.3242 0.4615 0.5000
11 B 0.1758 0.9615 0.5000
12 B 0.8242 0.0385 0.5000
13 B 0.4615 0.6758 0.5000
14 B 0.5385 0.3242 0.5000
15 B 0.0385 0.1758 0.5000
16 B 0.9615 0.8242 0.5000
17 B 0.9129 0.5871 0.5000
18 B 0.0871 0.4129 0.5000
19 B 0.4129 0.9129 0.5000
20 B 0.5871 0.0871 0.5000